(1)
Material: Ho2Sc3Si4
Method: DFT, GGA-PBE
State: relaxed

Computed properties:
crystal system	orthorhombic
energy of formation	-799	meV/atom

a b c (Å): 7.087 13.990 7.380
angles (deg): 90.00 90.00 90.00
Space group Pnma (No. 62)
One atom of each set of equivalent atoms:
Ho: 0.012 0.097 0.175 [8 per cell]
Sc: 0.161 0.750 0.503 [4 per cell]
Sc: 0.170 0.125 0.677 [8 per cell]
Si: 0.033 0.750 0.118 [4 per cell]
Si: 0.158 0.539 0.465 [8 per cell]
Si: 0.215 0.250 0.374 [4 per cell]


(2)
Material: BaMg14BiO16
Method: DFT, GGA-PBE
State: relaxed

Computed properties:
crystal system	orthorhombic
distance to the lowest polymorph of the same formula	27.7	meV/atom
energy of formation	-2599	meV/atom

a b c (Å): 4.621 8.853 9.141
angles (deg): 90.00 90.00 90.00
Space group Pmmm (No. 47)
One atom of each set of equivalent atoms:
Ba: 0.000 0.000 0.000 [1 per cell]
Mg: 0.000 0.268 0.249 [4 per cell]
Mg: 0.000 0.500 0.000 [1 per cell]
Mg: 0.000 0.500 0.500 [1 per cell]
Mg: 0.500 0.000 0.249 [2 per cell]
Mg: 0.500 0.266 0.500 [2 per cell]
Mg: 0.500 0.267 0.000 [2 per cell]
Mg: 0.500 0.500 0.250 [2 per cell]
Bi: 0.000 0.000 0.500 [1 per cell]
O: 0.000 0.000 0.259 [2 per cell]
O: 0.000 0.271 0.500 [2 per cell]
O: 0.000 0.282 0.000 [2 per cell]
O: 0.000 0.500 0.256 [2 per cell]
O: 0.500 0.000 0.000 [1 per cell]
O: 0.500 0.000 0.500 [1 per cell]
O: 0.500 0.250 0.251 [4 per cell]
O: 0.500 0.500 0.000 [1 per cell]
O: 0.500 0.500 0.500 [1 per cell]


(3)
Material: Ca11Os2N10
Method: DFT, GGA-PBE
State: relaxed

Computed properties:
crystal system	tetragonal
energy of formation	-510	meV/atom

a b c (Å): 15.531 15.531 3.540
angles (deg): 90.00 90.00 90.00
Space group P4_2/mnm (No. 136)
One atom of each set of equivalent atoms:
Ca: 0.000 0.000 0.000 [2 per cell]
Ca: 0.004 0.224 0.500 [8 per cell]
Ca: 0.102 0.617 0.000 [8 per cell]
Ca: 0.208 0.208 0.000 [4 per cell]
Os: 0.146 0.854 0.000 [4 per cell]
N: 0.048 0.324 0.000 [8 per cell]
N: 0.077 0.077 0.500 [4 per cell]
N: 0.134 0.134 0.500 [4 per cell]
N: 0.225 0.775 0.000 [4 per cell]


Number 1: theoretical density 5.2 g/cm³, final energy -0.2341 Ha/atom. Number 2: theoretical density 4.2 g/cm³, final energy -0.2062 Ha/atom. Number 3: theoretical density 3.7 g/cm³, final energy -0.2173 Ha/atom.